No. 1
DFT (PBE+U) results for crystalline Mn3P2O8 at its relaxed geometry.

```
Mn3P2O8
1.0
10.198 0.000 0.000
0.000 9.079 0.000
0.000 3.377 21.049
Mn P O
36 24 96
Direct
0.296 0.101 0.704
0.584 0.793 0.783
0.894 0.600 0.607
0.204 0.601 0.204
0.886 0.722 0.424
0.780 0.737 0.141
0.916 0.293 0.283
0.386 0.778 0.076
0.216 0.955 0.543
0.387 0.106 0.417
0.610 0.543 0.257
0.394 0.900 0.893
0.094 0.065 0.060
0.106 0.400 0.393
0.613 0.894 0.583
0.110 0.957 0.243
0.406 0.565 0.560
0.716 0.545 0.957
0.906 0.935 0.940
0.890 0.043 0.757
0.113 0.606 0.917
0.114 0.278 0.576
0.887 0.394 0.083
0.704 0.899 0.296
0.416 0.207 0.217
0.720 0.237 0.641
0.390 0.457 0.743
0.606 0.100 0.107
0.084 0.707 0.717
0.594 0.435 0.440
0.796 0.399 0.796
0.280 0.763 0.359
0.784 0.045 0.457
0.284 0.455 0.043
0.614 0.222 0.924
0.220 0.263 0.859
0.369 0.450 0.328
0.943 0.300 0.939
0.854 0.372 0.499
0.068 0.349 0.718
0.146 0.628 0.501
0.568 0.151 0.782
0.557 0.800 0.439
0.575 0.467 0.106
0.057 0.700 0.061
0.443 0.200 0.561
0.869 0.050 0.172
0.925 0.967 0.606
0.643 0.192 0.331
0.131 0.950 0.828
0.354 0.128 0.001
0.646 0.872 0.999
0.432 0.849 0.218
0.075 0.033 0.394
0.425 0.533 0.894
0.631 0.550 0.672
0.857 0.692 0.831
0.357 0.808 0.669
0.932 0.651 0.282
0.143 0.308 0.169
0.392 0.090 0.517
0.552 0.777 0.257
0.501 0.843 0.982
0.740 0.431 0.691
0.079 0.898 0.766
0.052 0.723 0.243
0.470 0.691 0.863
0.802 0.178 0.125
0.260 0.569 0.309
0.040 0.057 0.570
0.935 0.725 0.890
0.108 0.590 0.017
0.302 0.322 0.375
0.948 0.277 0.757
0.181 0.380 0.763
0.743 0.582 0.853
0.567 0.126 0.597
0.942 0.612 0.787
0.867 0.057 0.656
0.515 0.475 0.642
0.558 0.112 0.287
0.960 0.943 0.430
0.616 0.265 0.824
0.421 0.398 0.266
0.367 0.443 0.844
0.198 0.822 0.875
0.669 0.778 0.393
0.815 0.947 0.557
0.792 0.838 0.795
0.485 0.525 0.358
0.185 0.053 0.443
0.921 0.102 0.234
0.681 0.120 0.737
0.319 0.880 0.263
0.257 0.418 0.147
0.979 0.147 0.979
0.331 0.222 0.607
0.966 0.500 0.324
0.296 0.983 0.041
0.466 0.000 0.176
0.704 0.017 0.959
0.259 0.250 0.015
0.540 0.443 0.930
0.892 0.410 0.983
0.884 0.765 0.324
0.530 0.309 0.137
0.999 0.343 0.482
0.065 0.275 0.110
0.534 0.000 0.824
0.058 0.388 0.213
0.796 0.517 0.459
0.479 0.353 0.521
0.650 0.882 0.072
0.001 0.657 0.518
0.708 0.338 0.295
0.850 0.382 0.572
0.933 0.626 0.097
0.831 0.278 0.893
0.499 0.157 0.018
0.442 0.888 0.713
0.384 0.735 0.176
0.760 0.931 0.191
0.579 0.602 0.734
0.819 0.620 0.237
0.030 0.191 0.363
0.169 0.722 0.107
0.433 0.874 0.403
0.133 0.943 0.344
0.565 0.225 0.390
0.150 0.618 0.428
0.608 0.910 0.483
0.759 0.250 0.485
0.021 0.853 0.021
0.034 0.500 0.676
0.741 0.750 0.985
0.633 0.557 0.156
0.685 0.447 0.057
0.204 0.483 0.541
0.985 0.975 0.142
0.460 0.557 0.070
0.970 0.809 0.637
0.757 0.082 0.353
0.448 0.223 0.743
0.116 0.235 0.676
0.015 0.025 0.858
0.315 0.553 0.943
0.241 0.750 0.515
0.067 0.374 0.903
0.243 0.918 0.647
0.435 0.775 0.610
0.240 0.069 0.809
0.521 0.647 0.479
0.350 0.118 0.928
0.208 0.162 0.205
0.292 0.662 0.705
0.698 0.678 0.625
```

Its calculated volume is 162 Å³/f.u. For the energy above the most stable polymorph in this dataset, the calculation gives 10.5 meV per atom. The calculation puts the density at 3.6 g/cm3. For the formation energy, the calculation gives -2536 meV per atom.

=====

No. 2
DFT (PBE+U) results for crystalline MnPO4 at its relaxed geometry.

```
MnPO4
1.0
4.729 0.024 0.000
1.723 4.404 0.000
0.000 0.000 6.571
Mn P O
2 2 8
Direct
0.001 0.000 0.000
0.000 0.001 0.500
0.655 0.655 0.750
0.345 0.345 0.250
0.780 0.298 0.750
0.237 0.238 0.446
0.763 0.763 0.946
0.298 0.780 0.750
0.220 0.702 0.250
0.763 0.763 0.554
0.237 0.238 0.054
0.702 0.220 0.250
```

Its calculated volume is 68 Å³/f.u. The calculation puts the density at 3.6 g/cm3. For the formation energy, the calculation gives -2431 meV per atom.

=====

No. 3
DFT (PBE+U) results for crystalline MnPO4 at its relaxed geometry.

```
MnPO4
1.0
5.196 8.785 0.000
-5.196 8.785 0.000
0.000 3.310 16.831
Mn P O
16 16 64
Direct
0.265 0.375 0.628
0.886 0.506 0.878
0.386 0.504 0.879
0.772 0.947 0.627
0.821 0.009 0.878
0.767 0.449 0.628
0.449 0.767 0.128
0.506 0.886 0.378
0.267 0.876 0.627
0.375 0.265 0.128
0.009 0.821 0.378
0.947 0.772 0.127
0.504 0.386 0.379
0.323 0.003 0.879
0.003 0.323 0.379
0.876 0.267 0.127
0.981 0.168 0.939
0.427 0.030 0.690
0.669 0.038 0.440
0.603 0.922 0.192
0.927 0.102 0.689
0.030 0.427 0.190
0.168 0.481 0.439
0.102 0.927 0.189
0.038 0.669 0.940
0.168 0.981 0.439
0.420 0.530 0.691
0.481 0.168 0.939
0.922 0.603 0.692
0.667 0.536 0.439
0.536 0.667 0.939
0.530 0.420 0.191
0.660 0.350 0.126
0.726 0.456 0.520
0.795 0.962 0.374
0.722 0.958 0.523
0.578 0.861 0.121
0.460 0.228 0.020
0.022 0.131 0.427
0.587 0.486 0.696
0.352 0.128 0.939
0.790 0.459 0.371
0.867 0.074 0.619
0.128 0.352 0.439
0.131 0.022 0.927
0.982 0.594 0.195
0.228 0.460 0.520
0.074 0.867 0.119
0.914 0.761 0.677
0.356 0.159 0.624
0.487 0.090 0.197
0.459 0.790 0.871
0.388 0.418 0.172
0.587 0.831 0.270
0.962 0.795 0.874
0.861 0.578 0.621
0.533 0.521 0.928
0.350 0.660 0.626
0.262 0.914 0.174
0.292 0.973 0.371
0.962 0.225 0.020
0.629 0.703 0.439
0.761 0.914 0.177
0.086 0.343 0.271
0.419 0.890 0.672
0.703 0.629 0.939
0.581 0.330 0.273
0.159 0.356 0.124
0.418 0.388 0.672
0.095 0.989 0.696
0.084 0.838 0.268
0.630 0.205 0.440
0.524 0.033 0.427
0.633 0.023 0.928
0.225 0.962 0.520
0.486 0.587 0.196
0.890 0.419 0.172
0.475 0.290 0.870
0.989 0.095 0.196
0.914 0.262 0.674
0.973 0.292 0.871
0.594 0.982 0.695
0.132 0.849 0.439
0.958 0.722 0.023
0.290 0.475 0.370
0.343 0.086 0.771
0.033 0.524 0.927
0.831 0.587 0.770
0.456 0.726 0.020
0.838 0.084 0.768
0.090 0.487 0.697
0.023 0.633 0.428
0.521 0.533 0.428
0.330 0.581 0.773
0.205 0.630 0.940
0.849 0.132 0.939
```

Its calculated volume is 96 Å³/f.u. The calculation puts the density at 2.6 g/cm3. For the formation energy, the calculation gives -2341 meV per atom.

=====

No. 4
DFT (PBE+U) results for crystalline Mn2P2O7 at its relaxed geometry.

```
Mn2P2O7
1.0
4.604 0.000 0.011
0.000 10.441 0.000
-0.690 0.000 5.427
Mn P O
4 4 14
Direct
0.101 0.654 0.410
0.899 0.154 0.090
0.101 0.846 0.910
0.899 0.346 0.590
0.359 0.109 0.651
0.359 0.391 0.151
0.641 0.609 0.849
0.641 0.891 0.349
0.500 0.000 0.500
0.500 0.500 0.000
0.131 0.323 0.966
0.131 0.177 0.466
0.869 0.823 0.534
0.869 0.677 0.034
0.214 0.043 0.856
0.214 0.457 0.356
0.786 0.543 0.644
0.786 0.957 0.144
0.387 0.697 0.747
0.387 0.803 0.247
0.613 0.197 0.753
0.613 0.303 0.253
```

Its calculated volume is 130 Å³/f.u. The calculation puts the density at 3.6 g/cm3. For the formation energy, the calculation gives -2581 meV per atom.

=====

No. 5
DFT (PBE+U) results for crystalline MnPO4 at its relaxed geometry.

```
MnPO4
1.0
-8.112 0.313 -4.257
2.873 -6.442 -5.950
-3.320 -6.859 5.823
Mn P O
8 8 32
Direct
0.604 0.066 0.219
0.104 0.066 0.281
0.104 0.434 0.781
0.604 0.434 0.719
0.396 0.566 0.281
0.896 0.566 0.219
0.896 0.934 0.719
0.396 0.934 0.781
0.182 0.128 0.608
0.682 0.128 0.892
0.182 0.372 0.108
0.682 0.372 0.392
0.318 0.628 0.608
0.818 0.628 0.892
0.318 0.872 0.108
0.818 0.872 0.392
0.421 0.995 0.154
0.921 0.995 0.346
0.334 0.100 0.672
0.834 0.100 0.828
0.197 0.132 0.448
0.697 0.132 0.052
0.125 0.223 0.155
0.625 0.223 0.345
0.125 0.277 0.655
0.625 0.277 0.845
0.197 0.368 0.948
0.697 0.368 0.552
0.334 0.400 0.172
0.834 0.400 0.328
0.421 0.505 0.654
0.921 0.505 0.846
0.079 0.495 0.154
0.579 0.495 0.346
0.166 0.600 0.672
0.666 0.600 0.828
0.303 0.632 0.448
0.803 0.632 0.052
0.375 0.723 0.155
0.875 0.723 0.345
0.375 0.777 0.655
0.875 0.777 0.845
0.303 0.868 0.948
0.803 0.868 0.552
0.166 0.900 0.172
0.666 0.900 0.328
0.079 0.005 0.654
0.579 0.005 0.846
```

Its calculated volume is 101 Å³/f.u. The calculation puts the density at 2.5 g/cm3. For the formation energy, the calculation gives -2360 meV per atom.

=====

No. 6
DFT (PBE+U) results for crystalline MnPO4 at its relaxed geometry.

```
MnPO4
1.0
-6.631 5.384 -1.202
-1.564 3.310 -7.811
-6.908 -2.533 -4.501
Mn P O
6 6 24
Direct
0.000 0.000 0.000
0.356 0.356 0.356
0.856 0.856 0.856
0.500 0.500 0.500
0.144 0.144 0.144
0.644 0.644 0.644
0.040 0.460 0.750
0.460 0.750 0.040
0.750 0.040 0.460
0.250 0.960 0.540
0.540 0.250 0.960
0.960 0.540 0.250
0.488 0.699 0.880
0.699 0.880 0.488
0.880 0.488 0.699
0.056 0.264 0.916
0.012 0.620 0.801
0.236 0.444 0.584
0.264 0.916 0.056
0.444 0.584 0.236
0.199 0.988 0.380
0.584 0.236 0.444
0.084 0.944 0.736
0.380 0.199 0.988
0.620 0.801 0.012
0.916 0.056 0.264
0.416 0.764 0.556
0.801 0.012 0.620
0.556 0.416 0.764
0.736 0.084 0.944
0.764 0.556 0.416
0.988 0.380 0.199
0.944 0.736 0.084
0.120 0.512 0.301
0.301 0.120 0.512
0.512 0.301 0.120
```

Its calculated volume is 75 Å³/f.u. The calculation puts the density at 3.3 g/cm3. For the formation energy, the calculation gives -2393 meV per atom.

=====

No. 7
DFT (PBE+U) results for crystalline MnPO4 at its relaxed geometry.

```
MnPO4
1.0
-4.795 8.518 0.017
-4.153 -2.341 1.530
-2.037 -1.163 8.120
Mn P O
4 4 16
Direct
0.378 0.837 0.450
0.878 0.163 0.050
0.122 0.837 0.950
0.622 0.163 0.550
0.094 0.117 0.248
0.594 0.883 0.252
0.406 0.117 0.748
0.906 0.883 0.752
0.861 0.559 0.790
0.941 0.028 0.305
0.585 0.839 0.456
0.688 0.157 0.108
0.188 0.843 0.392
0.085 0.161 0.044
0.441 0.972 0.195
0.361 0.441 0.710
0.639 0.559 0.290
0.559 0.028 0.805
0.915 0.839 0.956
0.812 0.157 0.608
0.312 0.843 0.892
0.415 0.161 0.544
0.059 0.972 0.695
0.139 0.441 0.210
```

Its calculated volume is 86 Å³/f.u. The calculation puts the density at 2.9 g/cm3. For the formation energy, the calculation gives -2360 meV per atom.